(1)
# Na5Ga3Si3SnS3O24, optimized geometry, DFT GGA-PBE
# mass density	3.3	g cm⁻³
# magnetic moment	0.00	μB per cell
# raw total energy	-721.097	eV for the cell shown
data_Na5Ga3Si3SnS3O24
_space_group_name_H-M_alt 'P 1'
_space_group_IT_number 1
_cell_length_a 8.8330
_cell_length_b 8.8459
_cell_length_c 22.2935
_cell_angle_alpha 89.33
_cell_angle_beta 89.10
_cell_angle_gamma 60.13
loop_
_space_group_symop_operation_xyz
'x,y,z'
loop_
_atom_site_label
_atom_site_fract_x
_atom_site_fract_y
_atom_site_fract_z
Na1 0.0000 0.0000 0.0000
Na2 0.0002 0.0116 0.4992
Na3 0.2996 0.0494 0.5824
Na4 0.3064 0.6691 0.0841
Na5 0.3230 0.3441 0.6689
Na6 0.3233 0.3543 0.1664
Na7 0.3511 0.9649 0.9114
Na8 0.3517 0.7034 0.4114
Na9 0.6323 0.3829 0.2463
Na10 0.6601 0.6895 0.3298
Na11 0.6653 0.6877 0.8313
Na12 0.6768 0.3100 0.5781
Na13 0.6837 0.0350 0.0783
Na14 0.6939 0.3475 0.9190
Na15 0.9748 0.3365 0.4196
Ga1 0.0052 0.9915 0.1432
Ga2 0.0149 0.0252 0.6509
Ga3 0.3318 0.3310 0.5127
Ga4 0.3522 0.3416 0.3152
Ga5 0.3571 0.3202 0.8145
Ga6 0.6698 0.6629 0.1792
Ga7 0.6702 0.6645 0.4779
Ga8 0.6787 0.6768 0.6853
Ga9 0.6826 0.6711 0.9802
Si1 0.3022 0.7118 0.2456
Si2 0.3112 0.0087 0.7462
Si3 0.3430 0.6289 0.9114
Si4 0.3517 0.0477 0.4145
Si5 0.6273 0.3374 0.4165
Si6 0.6344 0.0403 0.9149
Si7 0.6864 0.3776 0.0821
Si8 0.9561 0.6694 0.0828
Si9 0.9623 0.3931 0.5821
Sn1 0.0130 0.0080 0.3493
Sn2 0.0157 0.9896 0.8484
Sn3 0.3419 0.3518 0.0174
S1 0.0074 0.7135 0.7446
S2 0.0108 0.3021 0.2463
S3 0.0484 0.6299 0.4154
S4 0.0490 0.3445 0.9135
S5 0.3775 0.6731 0.5824
S6 0.3797 0.9658 0.0818
S7 0.6795 0.9605 0.5818
S8 0.7133 0.0031 0.2478
S9 0.7132 0.3015 0.7469
O1 0.0275 0.1861 0.9085
O2 0.0310 0.8044 0.6917
O3 0.0319 0.8063 0.4101
O4 0.0348 0.1886 0.1952
O5 0.1245 0.5222 0.3610
O6 0.1298 0.3714 0.8593
O7 0.1545 0.4960 0.0790
O8 0.1586 0.3031 0.9678
O9 0.1597 0.5560 0.4687
O10 0.1636 0.3603 0.5754
O11 0.1648 0.5444 0.7515
O12 0.1679 0.3155 0.2541
O13 0.1738 0.0235 0.4109
O14 0.1750 0.8303 0.9110
O15 0.1791 0.8085 0.1882
O16 0.1904 0.0392 0.6870
O17 0.2013 0.8317 0.5882
O18 0.2049 0.9841 0.0886
O19 0.2224 0.8226 0.3088
O20 0.2233 0.9728 0.8072
O21 0.2955 0.1677 0.4750
O22 0.2967 0.5648 0.9749
O23 0.3178 0.1897 0.7541
O24 0.3239 0.5143 0.2538
O25 0.3645 0.1409 0.0760
O26 0.3655 0.5137 0.5757
O27 0.3673 0.1464 0.3552
O28 0.3750 0.5004 0.8551
O29 0.4514 0.7123 0.5266
O30 0.4532 0.8597 0.0268
O31 0.4912 0.6425 0.6344
O32 0.4914 0.8899 0.1350
O33 0.5003 0.6896 0.2410
O34 0.5012 0.8282 0.7379
O35 0.5058 0.1269 0.8587
O36 0.5097 0.3523 0.0798
O37 0.5100 0.3837 0.3565
O38 0.5185 0.6463 0.9191
O39 0.5186 0.8507 0.4240
O40 0.5210 0.1401 0.5776
O41 0.5372 0.3150 0.4782
O42 0.5395 0.3174 0.7516
O43 0.5405 0.1657 0.2531
O44 0.5559 0.1610 0.9761
O45 0.6295 0.5017 0.1412
O46 0.6402 0.8850 0.6355
O47 0.6489 0.8512 0.9220
O48 0.6553 0.5089 0.4208
O49 0.6960 0.8486 0.2426
O50 0.7005 0.4730 0.7413
O51 0.7046 0.8566 0.5273
O52 0.7068 0.4656 0.0201
O53 0.7923 0.0411 0.1941
O54 0.7940 0.1886 0.6927
O55 0.8192 0.0450 0.9071
O56 0.8212 0.2211 0.8017
O57 0.8210 0.9765 0.3026
O58 0.8259 0.1651 0.4095
O59 0.8327 0.7182 0.0244
O60 0.8350 0.9823 0.5888
O61 0.8411 0.4715 0.5216
O62 0.8489 0.6966 0.7406
O63 0.8503 0.4746 0.2432
O64 0.8545 0.1814 0.0914
O65 0.8633 0.5117 0.6401
O66 0.8649 0.6496 0.1438
O67 0.8733 0.4976 0.9189
O68 0.8736 0.6485 0.4220
O69 0.9671 0.8222 0.8007
O70 0.9681 0.2313 0.3038
O71 0.9793 0.1923 0.5874
O72 0.9874 0.8403 0.0865

(2)
# K4P4O5, optimized geometry, DFT GGA-PBE
# mass density	2.0	g cm⁻³
# magnetic moment	0.01	μB per cell
# raw total energy	-141.399	eV for the cell shown
data_K4P4O5
_space_group_name_H-M_alt 'P 1 21 1'
_space_group_IT_number 4
_cell_length_a 6.8927
_cell_length_b 14.0784
_cell_length_c 6.9866
_cell_angle_alpha 90.00
_cell_angle_beta 118.76
_cell_angle_gamma 90.00
loop_
_space_group_symop_operation_xyz
'x,y,z'
'-x,y+1/2,-z'
loop_
_atom_site_label
_atom_site_fract_x
_atom_site_fract_y
_atom_site_fract_z
K1 0.0528 0.0000 0.4684
K2 0.1177 0.8959 0.0179
K3 0.4297 0.2644 0.4574
K4 0.4444 0.6618 0.9521
P1 0.0067 0.7492 0.4582
P2 0.1508 0.6102 0.2495
P3 0.4153 0.5152 0.3582
P4 0.4171 0.4407 0.1133
O1 0.0591 0.7746 0.6919
O2 0.0668 0.8255 0.3403
O3 0.1839 0.6592 0.4943
O4 0.2249 0.2058 0.6739
O5 0.4181 0.0129 0.3954

(3)
# LaPrIn2, optimized geometry, DFT GGA-PBE
# mass density	6.9	g cm⁻³
# raw total energy	-68.761	eV for the cell shown
data_LaPrIn2
_space_group_name_H-M_alt 'F m -3 m'
_space_group_IT_number 225
_space_group_name_Hall '-F 4 2 3'
_cell_length_a 7.8721
_cell_length_b 7.8721
_cell_length_c 7.8721
_cell_angle_alpha 90.00
_cell_angle_beta 90.00
_cell_angle_gamma 90.00
loop_
_atom_site_label
_atom_site_fract_x
_atom_site_fract_y
_atom_site_fract_z
La1 0.0000 0.0000 0.0000
Pr1 0.0000 0.0000 0.5000
In1 0.2500 0.2500 0.2500